Density functional theory data (meta-GGA r2SCAN) for a relaxed FeSCl7 crystal.

a = 12.1531 Å, b = 6.4611 Å, c = 13.8963 Å
α = 79.15°, β = 90.00°, γ = 90.00°
Sites, in units of the cell vectors:
Fe1 0.5174 0.6060 0.7594
Fe2 0.0174 0.3940 0.7406
Fe3 0.4826 0.3940 0.2406
Fe4 0.9826 0.6060 0.2594
S1 0.2552 0.9696 0.0872
S2 0.7552 0.0304 0.4128
S3 0.7448 0.0304 0.9128
S4 0.2448 0.9696 0.5872
Cl1 0.3577 0.1472 0.9931
Cl2 0.8608 0.8223 0.8927
Cl3 0.9349 0.3842 0.3935
Cl4 0.5651 0.3842 0.8935
Cl5 0.1392 0.1777 0.1073
Cl6 0.9500 0.4761 0.1268
Cl7 0.0500 0.5239 0.8732
Cl8 0.4500 0.5239 0.3732
Cl9 0.3915 0.0972 0.2528
Cl10 0.0651 0.6158 0.6065
Cl11 0.1772 0.8041 0.0000
Cl12 0.1603 0.6640 0.2668
Cl13 0.6392 0.8223 0.3927
Cl14 0.3397 0.6640 0.7668
Cl15 0.4349 0.6158 0.1065
Cl16 0.8915 0.9028 0.2472
Cl17 0.1423 0.1472 0.4931
Cl18 0.1085 0.0972 0.7528
Cl19 0.5500 0.4761 0.6268
Cl20 0.8228 0.1959 0.0000
Cl21 0.8397 0.3360 0.7332
Cl22 0.3228 0.8041 0.5000
Cl23 0.3608 0.1777 0.6073
Cl24 0.6772 0.1959 0.5000
Cl25 0.6603 0.3360 0.2332
Cl26 0.6423 0.8528 0.0069
Cl27 0.8577 0.8528 0.5069
Cl28 0.6085 0.9028 0.7472

## Properties
Volume   267.9 Å³/f.u.
DFT formation energy   -56 kJ per mole of atoms